[1]
DFT (GGA-PBE) results for an optimized crystal structure of Ba3Sn2As4.

Properties
The energy relative to the elements is -821 meV per atom. As for the crystal system: monoclinic.

Lattice parameters (Å, degrees): 20.1555 8.0670 8.1810 67.77 90.00 90.00
Atoms (fractional coordinates):
Ba1 0.3170 0.0094 0.7869
Ba2 0.8170 0.4906 0.2131
Ba3 0.6830 0.9906 0.2131
Ba4 0.1830 0.5094 0.7869
Ba5 0.4393 0.9949 0.2617
Ba6 0.9393 0.5051 0.7383
Ba7 0.5607 0.0051 0.7383
Ba8 0.0607 0.4949 0.2617
Ba9 0.4368 0.5112 0.7426
Ba10 0.9368 0.9888 0.2574
Ba11 0.5632 0.4888 0.2574
Ba12 0.0632 0.0112 0.7426
Sn1 0.6233 0.5257 0.7899
Sn2 0.1233 0.9743 0.2101
Sn3 0.3767 0.4743 0.2101
Sn4 0.8767 0.0257 0.7899
Sn5 0.7419 0.4007 0.6834
Sn6 0.7581 0.9007 0.6834
Sn7 0.2581 0.5993 0.3166
Sn8 0.2419 0.0993 0.3166
As1 0.4358 0.2539 0.4982
As2 0.9358 0.2461 0.5018
As3 0.5642 0.7461 0.5018
As4 0.0642 0.7539 0.4982
As5 0.4452 0.7506 0.0010
As6 0.9452 0.7494 0.9990
As7 0.5548 0.2494 0.9990
As8 0.0548 0.2506 0.0010
As9 0.1829 0.7841 0.0354
As10 0.6829 0.7159 0.9646
As11 0.8171 0.2159 0.9646
As12 0.3171 0.2841 0.0354
As13 0.8009 0.7155 0.4877
As14 0.6991 0.2155 0.4877
As15 0.1991 0.2845 0.5123
As16 0.3009 0.7845 0.5123

---

[2]
DFT (GGA-PBE) results for an optimized crystal structure of BaZn2As2.

Properties
The energy relative to the elements is -678 meV per atom. As for the crystal system: orthorhombic.

Lattice parameters (Å, degrees): 4.2981 10.1428 11.0137 90.00 90.00 90.00
Atoms (fractional coordinates):
Ba1 0.2500 0.7477 0.3253
Ba2 0.7500 0.2523 0.6747
Ba3 0.2500 0.2477 0.1747
Ba4 0.7500 0.7523 0.8253
Zn1 0.7500 0.4014 0.9506
Zn2 0.2500 0.5986 0.0494
Zn3 0.2500 0.0986 0.4506
Zn4 0.7500 0.9014 0.5494
Zn5 0.7500 0.9509 0.1173
Zn6 0.2500 0.0491 0.8827
Zn7 0.7500 0.4509 0.3827
Zn8 0.2500 0.5491 0.6173
As1 0.7500 0.6497 0.5389
As2 0.2500 0.3503 0.4611
As3 0.2500 0.8503 0.0389
As4 0.7500 0.1497 0.9611
As5 0.7500 0.5224 0.1601
As6 0.2500 0.4776 0.8399
As7 0.7500 0.0224 0.3399
As8 0.2500 0.9776 0.6601

---

[3]
DFT (GGA-PBE) results for an optimized crystal structure of BaZn2As2.

Properties
The energy relative to the elements is -648 meV per atom. As for the crystal system: tetragonal.

Lattice parameters (Å, degrees): 4.1652 4.1652 7.4422 106.25 106.25 90.00
Atoms (fractional coordinates):
Ba1 0.0000 0.0000 0.0000
Zn1 0.2500 0.7500 0.5000
Zn2 0.7500 0.2500 0.5000
As1 0.6359 0.6359 0.2719
As2 0.3641 0.3641 0.7281

---

[4]
DFT (GGA-PBE) results for an optimized crystal structure of Li4Be3As3BrO12.

Properties
The energy relative to the elements is -2311 meV per atom. As for the crystal system: cubic.

Lattice parameters (Å, degrees): 8.4137 8.4137 8.4137 90.00 90.00 90.00
Atoms (fractional coordinates):
Li1 0.1804 0.1804 0.1804
Li2 0.8196 0.8196 0.1804
Li3 0.8196 0.1804 0.8196
Li4 0.6804 0.6804 0.6804
Li5 0.1804 0.8196 0.8196
Li6 0.3196 0.3196 0.6804
Li7 0.6804 0.3196 0.3196
Li8 0.3196 0.6804 0.3196
Be1 0.2500 0.0000 0.5000
Be2 0.7500 0.0000 0.5000
Be3 0.5000 0.2500 0.0000
Be4 0.5000 0.7500 0.0000
Be5 0.0000 0.5000 0.2500
Be6 0.0000 0.5000 0.7500
As1 0.2500 0.5000 0.0000
As2 0.7500 0.5000 0.0000
As3 0.0000 0.2500 0.5000
As4 0.0000 0.7500 0.5000
As5 0.5000 0.0000 0.2500
As6 0.5000 0.0000 0.7500
Br1 0.0000 0.0000 0.0000
Br2 0.5000 0.5000 0.5000
O1 0.1441 0.1366 0.4097
O2 0.8559 0.8634 0.4097
O3 0.8559 0.1366 0.5903
O4 0.4097 0.1441 0.1366
O5 0.6366 0.6441 0.9097
O6 0.1441 0.8634 0.5903
O7 0.4097 0.8559 0.8634
O8 0.3634 0.3559 0.9097
O9 0.5903 0.8559 0.1366
O10 0.6366 0.3559 0.0903
O11 0.5903 0.1441 0.8634
O12 0.3634 0.6441 0.0903
O13 0.1366 0.4097 0.1441
O14 0.6441 0.9097 0.6366
O15 0.1366 0.5903 0.8559
O16 0.3559 0.0903 0.6366
O17 0.8634 0.5903 0.1441
O18 0.6441 0.0903 0.3634
O19 0.8634 0.4097 0.8559
O20 0.3559 0.9097 0.3634
O21 0.9097 0.6366 0.6441
O22 0.9097 0.3634 0.3559
O23 0.0903 0.3634 0.6441
O24 0.0903 0.6366 0.3559

---

[5]
DFT (GGA-PBE) results for an optimized crystal structure of CaBeAsO5.

Properties
The energy relative to the elements is -2408 meV per atom. As for the crystal system: monoclinic.

Lattice parameters (Å, degrees): 4.9840 7.9313 10.2006 90.00 90.00 90.00
Atoms (fractional coordinates):
Ca1 0.9959 0.3847 0.8279
Ca2 0.0041 0.8847 0.6721
Ca3 0.0041 0.6153 0.1721
Ca4 0.9959 0.1153 0.3279
Be1 0.5562 0.0841 0.8384
Be2 0.4438 0.5841 0.6616
Be3 0.4438 0.9159 0.1616
Be4 0.5562 0.4159 0.3384
As1 0.4745 0.2252 0.5797
As2 0.5255 0.7252 0.9203
As3 0.5255 0.7748 0.4203
As4 0.4745 0.2748 0.0797
O1 0.2366 0.0843 0.5332
O2 0.7634 0.5843 0.9668
O3 0.7634 0.9157 0.4668
O4 0.2366 0.4157 0.0332
O5 0.6715 0.2109 0.9512
O6 0.3285 0.7109 0.5488
O7 0.3285 0.7891 0.0488
O8 0.6715 0.2891 0.4512
O9 0.6934 0.1521 0.6995
O10 0.3066 0.6521 0.8005
O11 0.3066 0.8479 0.3005
O12 0.6934 0.3479 0.1995
O13 0.3122 0.3975 0.6461
O14 0.6878 0.8975 0.8539
O15 0.6878 0.6025 0.3539
O16 0.3122 0.1025 0.1461
O17 0.2373 0.0958 0.8118
O18 0.7627 0.5958 0.6882
O19 0.7627 0.9042 0.1882
O20 0.2373 0.4042 0.3118

---

[6]
DFT (GGA-PBE) results for an optimized crystal structure of Li4Be3As3ClO12.

Properties
The energy relative to the elements is -2331 meV per atom. As for the crystal system: cubic.

Lattice parameters (Å, degrees): 8.3557 8.3557 8.3557 90.00 90.00 90.00
Atoms (fractional coordinates):
Li1 0.8292 0.8292 0.1708
Li2 0.3292 0.3292 0.6708
Li3 0.1708 0.1708 0.1708
Li4 0.6708 0.6708 0.6708
Li5 0.8292 0.1708 0.8292
Li6 0.3292 0.6708 0.3292
Li7 0.1708 0.8292 0.8292
Li8 0.6708 0.3292 0.3292
Be1 0.5000 0.7500 0.0000
Be2 0.2500 0.0000 0.5000
Be3 0.0000 0.5000 0.2500
Be4 0.5000 0.2500 0.0000
Be5 0.0000 0.5000 0.7500
Be6 0.7500 0.0000 0.5000
As1 0.5000 0.0000 0.2500
As2 0.0000 0.2500 0.5000
As3 0.2500 0.5000 0.0000
As4 0.0000 0.7500 0.5000
As5 0.5000 0.0000 0.7500
As6 0.7500 0.5000 0.0000
Cl1 0.5000 0.5000 0.5000
Cl2 0.0000 0.0000 0.0000
O1 0.0938 0.3644 0.6429
O2 0.5938 0.8571 0.1356
O3 0.1356 0.4062 0.1429
O4 0.1429 0.1356 0.4062
O5 0.3571 0.9062 0.3644
O6 0.8644 0.5938 0.1429
O7 0.8644 0.4062 0.8571
O8 0.3571 0.0938 0.6356
O9 0.8571 0.8644 0.4062
O10 0.9062 0.3644 0.3571
O11 0.1356 0.5938 0.8571
O12 0.3644 0.3571 0.9062
O13 0.4062 0.1429 0.1356
O14 0.9062 0.6356 0.6429
O15 0.4062 0.8571 0.8644
O16 0.6429 0.0938 0.3644
O17 0.6356 0.3571 0.0938
O18 0.8571 0.1356 0.5938
O19 0.6429 0.9062 0.6356
O20 0.6356 0.6429 0.9062
O21 0.5938 0.1429 0.8644
O22 0.0938 0.6356 0.3571
O23 0.3644 0.6429 0.0938
O24 0.1429 0.8644 0.5938

---

[7]
DFT (GGA-PBE) results for an optimized crystal structure of CsBeAsO4.

Properties
The energy relative to the elements is -2295 meV per atom. As for the crystal system: orthorhombic.

Lattice parameters (Å, degrees): 5.2342 8.9836 9.5520 90.00 90.00 90.00
Atoms (fractional coordinates):
Cs1 0.4987 0.3182 0.4930
Cs2 0.9987 0.6818 0.5070
Cs3 0.4987 0.1818 0.9930
Cs4 0.9987 0.8182 0.0070
Be1 0.9984 0.0963 0.3308
Be2 0.4984 0.5963 0.1692
Be3 0.9984 0.4037 0.8308
Be4 0.4984 0.9037 0.6692
As1 0.5001 0.9144 0.3262
As2 0.0001 0.0856 0.6738
As3 0.5001 0.5856 0.8262
As4 0.0001 0.4144 0.1738
O1 0.0167 0.1277 0.4997
O2 0.5167 0.6277 0.0003
O3 0.0167 0.3723 0.9997
O4 0.5167 0.8723 0.5003
O5 0.6955 0.4638 0.2230
O6 0.1955 0.5362 0.7770
O7 0.6955 0.0362 0.7230
O8 0.1955 0.9638 0.2770
O9 0.5897 0.7564 0.2393
O10 0.0897 0.2436 0.7607
O11 0.5897 0.7436 0.7393
O12 0.0897 0.2564 0.2607
O13 0.7069 0.4450 0.7786
O14 0.2069 0.5550 0.2214
O15 0.7069 0.0550 0.2786
O16 0.2069 0.9450 0.7214

---

[8]
DFT (GGA-PBE) results for an optimized crystal structure of Be3As2H4O10.

Properties
The energy relative to the elements is -2011 meV per atom. As for the crystal system: monoclinic.

Lattice parameters (Å, degrees): 8.6686 8.6686 10.0471 85.64 85.64 31.82
Atoms (fractional coordinates):
Be1 0.7017 0.7925 0.3389
Be2 0.2075 0.2983 0.1611
Be3 0.2983 0.2075 0.6611
Be4 0.7925 0.7017 0.8389
Be5 0.6832 0.3168 0.7500
Be6 0.3168 0.6832 0.2500
As1 0.3865 0.3025 0.8988
As2 0.3025 0.3865 0.3988
As3 0.6135 0.6975 0.1012
As4 0.6975 0.6135 0.6012
H1 0.9069 0.2778 0.8963
H2 0.9558 0.1467 0.3376
H3 0.8533 0.0442 0.1624
H4 0.0442 0.8533 0.6624
H5 0.1467 0.9558 0.8376
H6 0.2778 0.9069 0.3963
H7 0.0931 0.7222 0.1037
H8 0.7222 0.0931 0.6037
O1 0.2478 0.4208 0.0583
O2 0.4208 0.2478 0.5583
O3 0.7522 0.5792 0.9417
O4 0.5792 0.7522 0.4417
O5 0.5897 0.5324 0.1685
O6 0.2890 0.0687 0.1016
O7 0.4103 0.4676 0.8315
O8 0.5324 0.5897 0.6685
O9 0.8484 0.5972 0.2024
O10 0.4028 0.1516 0.2976
O11 0.1516 0.4028 0.7976
O12 0.5972 0.8484 0.7024
O13 0.4676 0.4103 0.3315
O14 0.9313 0.7110 0.3984
O15 0.7110 0.9313 0.8984
O16 0.0687 0.2890 0.6016
O17 0.8486 0.0614 0.6464
O18 0.0614 0.8486 0.1464
O19 0.1514 0.9386 0.3536
O20 0.9386 0.1514 0.8536

---

[9]
DFT (GGA-PBE) results for an optimized crystal structure of Be2AsH5O7.

Properties
The energy relative to the elements is -1883 meV per atom. As for the crystal system: monoclinic.

Lattice parameters (Å, degrees): 6.5798 8.5074 11.1504 90.00 90.00 105.32
Atoms (fractional coordinates):
Be1 0.4743 0.0500 0.8048
Be2 0.9743 0.5500 0.6952
Be3 0.5257 0.9500 0.1952
Be4 0.0257 0.4500 0.3048
Be5 0.3067 0.1226 0.5762
Be6 0.8067 0.6226 0.9238
Be7 0.6933 0.8774 0.4238
Be8 0.1933 0.3774 0.0762
As1 0.6276 0.2065 0.3830
As2 0.1276 0.7065 0.1170
As3 0.3724 0.7935 0.6170
As4 0.8724 0.2935 0.8830
H1 0.9568 0.1363 0.5373
H2 0.4568 0.6363 0.9627
H3 0.0432 0.8637 0.4627
H4 0.5432 0.3637 0.0373
H5 0.0479 0.2423 0.6555
H6 0.5479 0.7423 0.8445
H7 0.9521 0.7577 0.3445
H8 0.4521 0.2577 0.1555
H9 0.5521 0.2736 0.6884
H10 0.0521 0.7736 0.8116
H11 0.4479 0.7264 0.3116
H12 0.9479 0.2264 0.1884
H13 0.2050 0.1244 0.9153
H14 0.7050 0.6244 0.5847
H15 0.7950 0.8756 0.0847
H16 0.2950 0.3756 0.4153
H17 0.2813 0.9823 0.9814
H18 0.7813 0.4823 0.5186
H19 0.7187 0.0177 0.0186
H20 0.2187 0.5177 0.4814
O1 0.0794 0.1659 0.5938
O2 0.5794 0.6659 0.9062
O3 0.9206 0.8341 0.4062
O4 0.4206 0.3341 0.0938
O5 0.2707 0.0318 0.9008
O6 0.7707 0.5318 0.5992
O7 0.7293 0.9682 0.0992
O8 0.2293 0.4682 0.4008
O9 0.4506 0.1675 0.6954
O10 0.9506 0.6675 0.8046
O11 0.5494 0.8325 0.3046
O12 0.0494 0.3325 0.1954
O13 0.6931 0.1059 0.8823
O14 0.1931 0.6059 0.6177
O15 0.3069 0.8941 0.1177
O16 0.8069 0.3941 0.3823
O17 0.4485 0.8603 0.7598
O18 0.9485 0.3603 0.7402
O19 0.5515 0.1397 0.2402
O20 0.0515 0.6397 0.2598
O21 0.4143 0.2331 0.4605
O22 0.9143 0.7331 0.0395
O23 0.5857 0.7669 0.5395
O24 0.0857 0.2669 0.9605
O25 0.2562 0.9278 0.5476
O26 0.7562 0.4278 0.9524
O27 0.7438 0.0722 0.4524
O28 0.2438 0.5722 0.0476

---

[10]
DFT (GGA-PBE) results for an optimized crystal structure of Li2BeAs2.

Properties
The energy relative to the elements is 208 meV per atom. As for the crystal system: tetragonal.

Lattice parameters (Å, degrees): 3.0356 3.0356 11.6678 90.00 90.00 90.00
Atoms (fractional coordinates):
Li1 0.5000 0.5000 0.6172
Li2 0.5000 0.5000 0.3828
Be1 0.5000 0.5000 0.0000
As1 0.5000 0.5000 0.1766
As2 0.5000 0.5000 0.8234

---

[11]
DFT (GGA-PBE) results for an optimized crystal structure of BeAsO5.

Properties
The energy relative to the elements is -1263 meV per atom. As for the crystal system: orthorhombic.

Lattice parameters (Å, degrees): 4.8261 8.8833 9.2213 90.00 90.00 90.00
Atoms (fractional coordinates):
Be1 0.6208 0.2930 0.4593
Be2 0.3792 0.7930 0.5407
Be3 0.6208 0.7930 0.0407
Be4 0.3792 0.2930 0.9593
As1 0.8933 0.9720 0.4568
As2 0.1067 0.4720 0.5432
As3 0.8933 0.4720 0.0432
As4 0.1067 0.9720 0.9568
O1 0.5057 0.1937 0.3221
O2 0.4943 0.6937 0.6779
O3 0.5057 0.6937 0.1779
O4 0.4943 0.1937 0.8221
O5 0.6496 0.8335 0.4490
O6 0.3504 0.3335 0.5510
O7 0.6496 0.3335 0.0510
O8 0.3504 0.8335 0.9490
O9 0.0623 0.9891 0.2917
O10 0.9377 0.4891 0.7083
O11 0.0623 0.4891 0.2083
O12 0.9377 0.9891 0.7917
O13 0.1671 0.9290 0.5704
O14 0.8329 0.4290 0.4296
O15 0.1671 0.4290 0.9296
O16 0.8329 0.9290 0.0704
O17 0.7610 0.1397 0.5203
O18 0.2390 0.6397 0.4797
O19 0.7610 0.6397 0.9797
O20 0.2390 0.1397 0.0203

---

- Which formula does entry 2 have?
  BaZn2As2

---

- Among the records above, which one has the lowest energy relative to the elements?
  CaBeAsO5

---

- Look up the energy relative to the elements of the fifth one.
  -2408 meV per atom

---

- energy relative to the elements of number 6 (Li4Be3As3ClO12)?
  -2331 meV per atom